[1]
A plane-wave DFT calculation with PBE-GGA was carried out for a relaxed structure of Be17Ru3.

Computed properties:
- Formation energy from the elements: -278 meV/atom
- Size of the total moment: 0.01 μB per atom
- VASP energy: -775.62 eV for the cell shown

abc: 11.323 11.323 11.323
angles: 90.00 90.00 90.00
Space group Im-3 (No. 204)
Unique sites:
Be 0.000 0.000 0.403 x12
Be 0.000 0.093 0.231 x24
Be 0.000 0.195 0.500 x12
Be 0.000 0.349 0.405 x24
Be 0.114 0.201 0.342 x48
Be 0.165 0.165 0.165 x16
Ru 0.000 0.301 0.188 x24



[2]
A plane-wave DFT calculation with PBE-GGA was carried out for a relaxed structure of BaSr2Y2Cu2PtO10.

Computed properties:
- Total energy after the MP2020 corrections: -7.096 eV/atom
- Formation energy from the elements: -2541 meV/atom
- Size of the total moment: 0.00 μB per atom
- VASP energy: -241.71 eV for the cell shown

abc: 12.419 5.736 7.463
angles: 90.00 105.48 90.00
Space group Cm (No. 8)
Unique sites:
Ba 0.000 0.000 0.000 x2
Sr 0.150 0.000 0.528 x2
Sr 0.299 0.000 0.052 x2
Y 0.337 0.500 0.401 x2
Y 0.460 0.000 0.654 x2
Cu 0.062 0.500 0.330 x2
Cu 0.236 0.500 0.725 x2
Pt 0.148 0.500 0.028 x2
O 0.132 0.269 0.811 x4
O 0.170 0.270 0.246 x4
O 0.316 0.500 0.075 x2
O 0.325 0.263 0.646 x4
O 0.473 0.236 0.408 x4
O 0.477 0.000 0.980 x2



[3]
A plane-wave DFT calculation with PBE-GGA was carried out for a relaxed structure of ErTa3.

Computed properties:
- Formation energy from the elements: 363 meV/atom
- Size of the total moment: 0.00 μB per atom
- VASP energy: -154.75 eV for the cell shown

abc: 6.859 6.859 6.859
angles: 90.00 90.00 90.00
Space group Fm-3m (No. 225)
Unique sites:
Er 0.000 0.000 0.000 x4
Ta 0.000 0.000 0.500 x4
Ta 0.250 0.250 0.250 x8



[4]
A plane-wave DFT calculation with PBE-GGA was carried out for a relaxed structure of CsPH2O4.

Computed properties:
- Total energy after the MP2020 corrections: -6.296 eV/atom
- Formation energy from the elements: -2185 meV/atom
- Size of the total moment: 0.00 μB per atom
- VASP energy: -95.24 eV for the cell shown

abc: 4.951 6.465 8.053
angles: 90.00 107.62 90.00
Space group P2_1 (No. 4)
Unique sites:
Cs 0.030 0.000 0.266 x2
P 0.466 0.008 0.762 x2
H 0.175 0.490 0.352 x2
H 0.497 0.277 0.009 x2
O 0.150 0.999 0.674 x2
O 0.389 0.476 0.388 x2
O 0.421 0.314 0.115 x2
O 0.424 0.710 0.140 x2



[5]
A plane-wave DFT calculation with PBE-GGA was carried out for a relaxed structure of CsMg14Mo.

Computed properties:
- Formation energy from the elements: 305 meV/atom
- Size of the total moment: 0.14 μB per atom
- VASP energy: -58.52 eV for the cell shown

abc: 10.511 6.560 11.194
angles: 90.00 90.00 90.00
Space group Amm2 (No. 38)
Unique sites:
Cs 0.000 0.000 0.000 x2
Mg 0.000 0.250 0.242 x4
Mg 0.234 0.000 0.644 x4
Mg 0.256 0.234 0.400 x8
Mg 0.276 0.000 0.158 x4
Mg 0.500 0.000 0.484 x2
Mg 0.500 0.000 0.981 x2
Mg 0.500 0.241 0.734 x4
Mo 0.000 0.000 0.465 x2



[6]
A plane-wave DFT calculation with PBE-GGA was carried out for a relaxed structure of CeSnRu.

Computed properties:
- Formation energy from the elements: -629 meV/atom
- VASP energy: -168.83 eV for the cell shown

abc: 11.661 4.842 10.014
angles: 90.00 102.94 90.00
Space group C2/m (No. 12)
Unique sites:
Ce 0.131 0.000 0.411 x4
Ce 0.136 0.000 0.912 x4
Sn 0.082 0.500 0.153 x4
Sn 0.090 0.500 0.651 x4
Ru 0.185 0.000 0.163 x4
Ru 0.190 0.000 0.671 x4



[7]
A plane-wave DFT calculation with PBE-GGA was carried out for a relaxed structure of GdSnPt2.

Computed properties:
- Formation energy from the elements: -973 meV/atom
- VASP energy: -68.24 eV for the cell shown

abc: 4.5774 4.5774 9.2326
angles: 90.00 90.00 120.00
Space group P6_3/mmc (No. 194)
Unique sites:
Gd 0.3333 0.6667 0.2500 x2
Sn 0.0000 0.0000 0.0000 x2
Pt 0.3333 0.6667 0.5899 x4



[8]
A plane-wave DFT calculation with PBE-GGA was carried out for a relaxed structure of La2B8O15.

Computed properties:
- Total energy after the MP2020 corrections: -8.607 eV/atom
- Formation energy from the elements: -3106 meV/atom
- Size of the total moment: 0.00 μB per atom
- VASP energy: -409.74 eV for the cell shown

abc: 9.266 4.256 12.616
angles: 90.00 116.65 90.00
Space group P2/c (No. 13)
Unique sites:
La 0.144 0.235 0.448 x4
B 0.107 0.286 0.704 x4
B 0.284 0.231 0.235 x4
B 0.405 0.282 0.873 x4
B 0.415 0.208 0.087 x4
O 0.000 0.153 0.750 x2
O 0.029 0.241 0.579 x4
O 0.142 0.379 0.235 x4
O 0.276 0.118 0.764 x4
O 0.289 0.273 0.123 x4
O 0.340 0.308 0.960 x4
O 0.427 0.378 0.339 x4
O 0.445 0.128 0.591 x4